A relaxed Rb2Ta2O5 crystal. Source: the Materials Project database, functional PBE.

```
Rb2Ta2O5
1.0
0.239 -9.076 -0.121
-7.125 -5.493 1.226
2.737 7.308 -4.642
Rb Ta O
4 4 10
Direct
0.622 0.114 0.492 Rb
0.378 0.886 0.508 Rb
0.122 0.630 0.508 Rb
0.878 0.370 0.492 Rb
0.000 0.000 0.000 Ta
0.500 0.500 0.000 Ta
0.250 0.283 0.033 Ta
0.750 0.717 0.967 Ta
0.249 0.749 0.000 O
0.251 0.251 0.500 O
0.749 0.749 0.500 O
0.751 0.251 0.000 O
0.128 0.125 0.996 O
0.872 0.875 0.004 O
0.628 0.632 0.004 O
0.372 0.368 0.996 O
0.000 0.500 0.000 O
0.500 0.500 0.500 O
```

Properties
- ΔH_f (0 K): -2.56 eV/atom
- Space group: Imma
- Spin magnetization: 0.000 μB/atom

A relaxed Rb8Ta6O23 crystal. Source: the Materials Project database, functional PBE.

```
Rb8Ta6O23
1.0
3.439 -8.651 3.169
8.285 4.209 -3.216
2.385 5.716 13.323
Rb Ta O
16 12 46
Direct
0.162 0.838 0.250 Rb
0.838 0.162 0.750 Rb
0.652 0.348 0.250 Rb
0.348 0.652 0.750 Rb
0.037 0.887 0.623 Rb
0.113 0.963 0.877 Rb
0.963 0.113 0.377 Rb
0.887 0.037 0.123 Rb
0.273 0.454 0.318 Rb
0.546 0.727 0.182 Rb
0.727 0.546 0.682 Rb
0.454 0.273 0.818 Rb
0.883 0.576 0.415 Rb
0.424 0.117 0.085 Rb
0.117 0.424 0.585 Rb
0.576 0.883 0.915 Rb
0.201 0.676 0.030 Ta
0.324 0.799 0.470 Ta
0.799 0.324 0.970 Ta
0.676 0.201 0.530 Ta
0.854 0.668 0.028 Ta
0.332 0.146 0.472 Ta
0.146 0.332 0.972 Ta
0.668 0.854 0.528 Ta
0.989 0.440 0.157 Ta
0.560 0.011 0.343 Ta
0.011 0.560 0.843 Ta
0.440 0.989 0.657 Ta
0.188 0.652 0.446 O
0.348 0.812 0.054 O
0.812 0.348 0.554 O
0.652 0.188 0.946 O
0.795 0.746 0.548 O
0.254 0.205 0.952 O
0.205 0.254 0.452 O
0.746 0.795 0.048 O
0.973 0.392 0.277 O
0.608 0.027 0.223 O
0.027 0.608 0.723 O
0.392 0.973 0.777 O
0.044 0.778 0.048 O
0.222 0.956 0.452 O
0.956 0.222 0.952 O
0.778 0.044 0.548 O
0.155 0.591 0.154 O
0.409 0.845 0.346 O
0.845 0.409 0.846 O
0.591 0.155 0.654 O
0.715 0.493 0.000 O
0.507 0.285 0.500 O
0.285 0.507 0.000 O
0.493 0.715 0.500 O
0.866 0.582 0.151 O
0.418 0.134 0.349 O
0.134 0.418 0.849 O
0.582 0.866 0.651 O
0.826 0.308 0.104 O
0.692 0.174 0.396 O
0.174 0.692 0.896 O
0.308 0.826 0.604 O
0.107 0.311 0.107 O
0.689 0.893 0.393 O
0.893 0.689 0.893 O
0.311 0.107 0.607 O
0.000 0.500 0.000 O
0.500 0.000 0.500 O
0.472 0.436 0.112 O
0.564 0.528 0.388 O
0.528 0.564 0.888 O
0.436 0.472 0.612 O
0.874 0.818 0.281 O
0.182 0.126 0.219 O
0.126 0.182 0.719 O
0.818 0.874 0.781 O
```

Properties
- ΔH_f (0 K): -2.43 eV/atom
- Space group: C2/c
- Spin magnetization: 0.221 μB/atom

A relaxed RbTa3Te2O12 crystal. Source: the Materials Project database, functional PBE.

```
RbTa3Te2O12
1.0
3.990 0.000 0.000
0.000 15.215 0.000
0.000 0.000 17.765
Rb Ta Te O
4 12 8 48
Direct
0.215 0.074 0.750 Rb
0.785 0.926 0.250 Rb
0.215 0.426 0.250 Rb
0.785 0.574 0.750 Rb
0.258 0.794 0.750 Ta
0.742 0.206 0.250 Ta
0.258 0.706 0.250 Ta
0.742 0.294 0.750 Ta
0.748 0.151 0.569 Ta
0.252 0.849 0.069 Ta
0.748 0.349 0.431 Ta
0.252 0.651 0.931 Ta
0.252 0.849 0.431 Ta
0.748 0.151 0.931 Ta
0.252 0.651 0.569 Ta
0.748 0.349 0.069 Ta
0.623 0.914 0.597 Te
0.377 0.086 0.097 Te
0.623 0.586 0.403 Te
0.377 0.414 0.903 Te
0.377 0.086 0.403 Te
0.623 0.914 0.903 Te
0.377 0.414 0.597 Te
0.623 0.586 0.097 Te
0.282 0.932 0.524 O
0.718 0.068 0.024 O
0.282 0.568 0.476 O
0.718 0.432 0.976 O
0.718 0.068 0.476 O
0.282 0.932 0.976 O
0.718 0.432 0.524 O
0.282 0.568 0.024 O
0.703 0.031 0.627 O
0.297 0.969 0.127 O
0.703 0.469 0.373 O
0.297 0.531 0.873 O
0.297 0.969 0.373 O
0.703 0.031 0.873 O
0.297 0.531 0.627 O
0.703 0.469 0.127 O
0.294 0.896 0.674 O
0.706 0.104 0.174 O
0.294 0.604 0.326 O
0.706 0.396 0.826 O
0.706 0.104 0.326 O
0.294 0.896 0.826 O
0.706 0.396 0.674 O
0.294 0.604 0.174 O
0.289 0.708 0.668 O
0.711 0.292 0.168 O
0.289 0.792 0.332 O
0.711 0.208 0.832 O
0.711 0.292 0.332 O
0.289 0.708 0.832 O
0.711 0.208 0.668 O
0.289 0.792 0.168 O
0.788 0.801 0.750 O
0.212 0.199 0.250 O
0.788 0.699 0.250 O
0.212 0.301 0.750 O
0.705 0.250 0.500 O
0.295 0.750 0.000 O
0.295 0.750 0.500 O
0.705 0.250 0.000 O
0.216 0.146 0.567 O
0.784 0.854 0.067 O
0.216 0.354 0.433 O
0.784 0.646 0.933 O
0.784 0.854 0.433 O
0.216 0.146 0.933 O
0.784 0.646 0.567 O
0.216 0.354 0.067 O
```

Properties
- ΔH_f (0 K): -2.68 eV/atom
- Space group: Pbcm
- Spin magnetization: 0.000 μB/atom

A relaxed Rb2TbO3 crystal. Source: the Materials Project database, functional PBE.

```
Rb2TbO3
1.0
0.551 6.685 0.627
-3.111 -1.859 -5.680
-5.632 0.180 3.026
Rb Tb O
4 2 6
Direct
0.525 0.198 0.768 Rb
0.198 0.525 0.768 Rb
0.475 0.802 0.268 Rb
0.802 0.475 0.268 Rb
0.096 0.096 0.229 Tb
0.904 0.904 0.729 Tb
0.630 0.630 0.638 O
0.370 0.370 0.138 O
0.094 0.843 0.998 O
0.906 0.157 0.498 O
0.843 0.094 0.998 O
0.157 0.906 0.498 O
```

Properties
- ΔH_f (0 K): -2.29 eV/atom
- Space group: Cmc2_1
- Spin magnetization: 0.167 μB/atom